Crystalline Li2FeCo2O6 at its relaxed geometry, computed with GGA+U. Values from VASP.

Structure (Quantum ESPRESSO input):
```
&SYSTEM
  ibrav = 0, nat = 22, ntyp = 4
/
ATOMIC_SPECIES
Li 6.94 Li.upf
Fe 55.84 Fe.upf
Co 58.93 Co.upf
O 16.00 O.upf
CELL_PARAMETERS angstrom
5.021 0.000 0.000
2.399 4.423 0.000
0.020 0.004 10.131
ATOMIC_POSITIONS crystal
Li 0.000 0.000 0.000
Li 0.206 0.792 0.502
Li 0.501 0.501 0.001
Li 0.707 0.293 0.499
Fe 0.351 0.147 0.751
Fe 0.852 0.645 0.250
Co 0.011 0.805 0.750
Co 0.183 0.976 0.251
Co 0.511 0.304 0.251
Co 0.684 0.475 0.750
O 0.001 0.483 0.847
O 0.174 0.680 0.141
O 0.192 0.293 0.347
O 0.345 0.794 0.850
O 0.387 0.465 0.641
O 0.500 0.639 0.351
O 0.500 0.985 0.154
O 0.675 0.179 0.860
O 0.694 0.793 0.655
O 0.847 0.293 0.151
O 0.886 0.966 0.361
O 0.999 0.141 0.650
```

Summary:
Calculated volume, Å³/f.u.: 112.5
ΔE_f, eV/atom: -1.574
Crystal system: triclinic
Polymorph energy (0 for the lowest one), meV per atom: 45